(1)
Compound: Pu2IO10
Source: Materials Project
Functional: PBE-GGA
Structure: relaxed Values from VASP.

Properties
**Energy relative to the elements**: -2036 meV/atom
**Density**: 5.9 g cm⁻³
**Energy with MP2020 corrections**: -8.154 eV per atom
**Space group**: P2_1/c (14)
**Calculated total energy**: -396.54 eV per cell
**Crystal system**: monoclinic

The structure in Quantum ESPRESSO input format:
```
&SYSTEM
  ibrav = 0, nat = 52, ntyp = 3
/
ATOMIC_SPECIES
O 16.00 O.upf
I 126.90 I.upf
Pu 244.00 Pu.upf
CELL_PARAMETERS angstrom
-6.6015 1.3239 8.8289
2.1091 -6.0591 2.4856
10.5629 -0.8096 8.0194
ATOMIC_POSITIONS crystal
O 0.8579 0.9270 0.7131
I 0.7025 0.2259 0.8662
I 0.7975 0.2259 0.3662
O 0.0543 0.1179 0.8536
Pu 0.2051 0.0923 0.8177
O 0.1708 0.8056 0.8122
O 0.7212 0.8565 0.0320
O 0.7788 0.8565 0.5320
O 0.2279 0.7234 0.0182
O 0.1051 0.3607 0.0083
O 0.7721 0.2766 0.9818
O 0.8292 0.1944 0.1878
O 0.6421 0.9270 0.2131
O 0.9457 0.8821 0.1464
O 0.3961 0.5771 0.9032
O 0.4531 0.7524 0.1132
O 0.3292 0.8056 0.3122
Pu 0.7457 0.5477 0.0390
O 0.3579 0.0730 0.7869
O 0.2788 0.1435 0.9680
O 0.4457 0.1179 0.3536
O 0.5469 0.2476 0.8868
Pu 0.2949 0.0923 0.3177
O 0.7279 0.2766 0.4818
Pu 0.7949 0.9077 0.1823
Pu 0.7051 0.9077 0.6823
Pu 0.2457 0.4523 0.4610
Pu 0.2543 0.4523 0.9610
O 0.2212 0.1435 0.4680
O 0.2721 0.7234 0.5182
O 0.6039 0.4229 0.0968
O 0.1039 0.5771 0.4032
O 0.7674 0.5252 0.2357
O 0.2326 0.4748 0.7643
O 0.8961 0.4229 0.5968
O 0.1421 0.0730 0.2869
O 0.2674 0.4748 0.2643
Pu 0.7543 0.5477 0.5390
O 0.8223 0.7278 0.3704
I 0.2025 0.7741 0.6338
O 0.6777 0.7278 0.8704
O 0.6051 0.6393 0.4917
O 0.8949 0.6393 0.9917
O 0.3223 0.2722 0.1296
O 0.7326 0.5252 0.7357
O 0.6708 0.1944 0.6878
O 0.1777 0.2722 0.6296
I 0.2975 0.7741 0.1338
O 0.3949 0.3607 0.5083
O 0.5543 0.8821 0.6464
O 0.0469 0.7524 0.6132
O 0.9531 0.2476 0.3869
```



(2)
Compound: NaTeH12C3O3
Source: Materials Project
Functional: PBE-GGA
Structure: relaxed Values from VASP.

Properties
**Energy relative to the elements**: -610 meV/atom
**Density**: 1.9 g cm⁻³
**Energy with MP2020 corrections**: -4.996 eV per atom
**Space group**: P-31c (163)
**Calculated total energy**: -391.43 eV per cell
**Crystal system**: trigonal

The structure in Quantum ESPRESSO input format:
```
&SYSTEM
  ibrav = 0, nat = 80, ntyp = 5
/
ATOMIC_SPECIES
Te 127.60 Te.upf
H 1.01 H.upf
O 16.00 O.upf
C 12.01 C.upf
Na 22.99 Na.upf
CELL_PARAMETERS angstrom
-0.2389 8.2049 2.5368
-3.6766 -6.0932 4.8132
11.7881 -1.7542 6.7837
ATOMIC_POSITIONS crystal
Te 0.3333 0.6667 0.6484
H 0.8919 0.6596 0.3686
H 0.2689 0.9089 0.3957
H 0.4538 0.3089 0.9505
O 0.2139 0.2088 0.3754
H 0.3600 0.0911 0.8957
O 0.7861 0.7912 0.6246
H 0.1081 0.3404 0.6314
O 0.2088 0.9948 0.6246
H 0.2879 0.8225 0.1790
H 0.3404 0.2323 0.3686
H 0.5346 0.8225 0.3210
C 0.3819 0.1543 0.6138
Na 0.0000 0.0000 0.7500
H 0.4538 0.1449 0.5495
O 0.2088 0.2139 0.8754
C 0.2276 0.3819 0.3862
O 0.0052 0.7912 0.8754
H 0.6400 0.7311 0.3957
H 0.7677 0.6596 0.1314
H 0.8919 0.2323 0.1314
H 0.2323 0.8919 0.6314
H 0.7677 0.1081 0.3686
Na 0.0000 0.0000 0.0000
O 0.7861 0.9948 0.8754
H 0.9089 0.2689 0.8957
H 0.7121 0.5346 0.6790
H 0.1775 0.4654 0.1790
H 0.1081 0.7677 0.8686
H 0.8225 0.5346 0.8210
H 0.0911 0.7311 0.1043
C 0.3819 0.2276 0.8862
H 0.8551 0.3089 0.5495
Te 0.6667 0.3333 0.1484
H 0.5462 0.6911 0.0495
H 0.3089 0.8551 0.0495
H 0.8225 0.2879 0.6790
H 0.2323 0.3404 0.8686
C 0.2276 0.8457 0.1138
H 0.2689 0.3600 0.1043
H 0.1449 0.6911 0.4505
Na 0.0000 0.0000 0.5000
O 0.9948 0.7861 0.3754
H 0.3089 0.4538 0.4505
H 0.9089 0.6400 0.6043
C 0.6181 0.8457 0.3862
H 0.1449 0.4538 0.0495
H 0.5346 0.7121 0.1790
Te 0.3333 0.6667 0.8516
H 0.3404 0.1081 0.1314
C 0.8457 0.6181 0.8862
H 0.4654 0.2879 0.8210
C 0.7724 0.1543 0.8862
H 0.6596 0.8919 0.8686
O 0.7912 0.7861 0.1246
H 0.6400 0.9089 0.1043
Na 0.0000 0.0000 0.2500
H 0.7311 0.6400 0.8957
C 0.7724 0.6181 0.6138
O 0.7912 0.0052 0.3754
H 0.6911 0.5462 0.5495
C 0.6181 0.7724 0.1138
H 0.5462 0.8551 0.4505
O 0.9948 0.2088 0.1246
C 0.1543 0.7724 0.3862
H 0.4654 0.1775 0.6790
O 0.2139 0.0052 0.1246
C 0.8457 0.2276 0.6138
H 0.8551 0.5462 0.9505
O 0.0052 0.2139 0.6246
H 0.2879 0.4654 0.3210
H 0.3600 0.2689 0.6043
H 0.0911 0.3600 0.3957
Te 0.6667 0.3333 0.3516
H 0.7311 0.0911 0.6043
H 0.1775 0.7121 0.3210
H 0.7121 0.1775 0.8210
H 0.6596 0.7677 0.6314
H 0.6911 0.1449 0.9505
C 0.1543 0.3819 0.1138
```



(3)
Compound: ErInPt4
Source: Materials Project
Functional: PBE-GGA
Structure: relaxed Values from VASP.

Properties
**Energy relative to the elements**: -785 meV/atom
**Density**: 15.9 g cm⁻³
**Space group**: F-43m (216)
**Calculated total energy**: -36.32 eV per cell
**Crystal system**: cubic

The structure in Quantum ESPRESSO input format:
```
&SYSTEM
  ibrav = 0, nat = 6, ntyp = 3
/
ATOMIC_SPECIES
Er 167.26 Er.upf
Pt 195.08 Pt.upf
In 114.82 In.upf
CELL_PARAMETERS angstrom
0.0000 3.8170 3.8170
3.8170 0.0000 3.8170
3.8170 3.8170 0.0000
ATOMIC_POSITIONS crystal
Er 0.0000 0.0000 0.0000
Pt 0.6246 0.6246 0.6246
Pt 0.6246 0.1261 0.6246
Pt 0.6246 0.6246 0.1261
In 0.2500 0.2500 0.2500
Pt 0.1261 0.6246 0.6246
```



Question: Which value of energy relative to the elements does entry 1 give?
Answer: -2036 meV/atom